# 1
# PmPu3

A relaxed PmPu3 crystal (PBE-GGA, the Materials Project).

POSCAR file:
```
PmPu3
1.0
-1.269 -2.285 6.443
-0.366 -4.389 -5.381
5.381 -1.219 0.628
Pu Pm
6 2
Cartesian
1.020 -2.100 -0.544
2.726 -5.793 2.234
0.833 -4.352 -3.305
2.913 -3.541 4.995
0.181 -5.525 0.001
3.565 -2.368 1.689
0.377 -3.291 2.659
3.369 -4.602 -0.969
```

* total magnetization: 18.22 μB per formula unit
* SG: No. 194
* formation energy: 21.9 kJ per mole of atoms

=====

# 2
# SrMg6Bi

A relaxed SrMg6Bi crystal (PBE-GGA, the Materials Project).

POSCAR file:
```
SrMg6Bi
1.0
5.454 0.000 0.000
0.000 6.525 0.000
0.000 0.000 12.120
Mg Bi Sr
12 2 2
Cartesian
0.000 1.670 0.888
0.000 1.592 6.949
0.000 3.262 4.111
0.000 4.933 6.949
2.727 1.618 5.071
0.000 4.854 0.888
2.727 4.907 5.071
0.000 0.000 4.165
0.000 3.262 10.225
2.727 1.645 11.131
2.727 4.880 11.131
0.000 0.000 10.171
2.727 0.000 8.037
2.727 3.262 1.977
2.727 3.262 8.130
2.727 0.000 2.069
```

* total magnetization: 0.00 μB per formula unit
* energy above the most stable polymorph in this dataset: 0.00 eV per formula unit
* formation energy: -5.2 kJ per mole of atoms

=====

# 3
# USb3

A relaxed USb3 crystal (PBE-GGA, the Materials Project).

POSCAR file:
```
USb3
1.0
3.171 -5.493 0.000
3.171 5.493 0.000
0.000 0.000 5.906
Sb U
6 2
Cartesian
1.639 -0.946 4.429
1.639 0.946 1.476
4.703 -0.946 4.429
3.171 3.600 1.476
4.703 0.946 1.476
3.171 -3.600 4.429
3.171 -1.831 1.476
3.171 1.831 4.429
```

* SG: No. 194
* formation energy: -27.0 kJ per mole of atoms